Entry from the Materials Project: ZrZn20Co2 after structural relaxation (PBE).

Output
DFT total energy = -103.8 eV/cell
space-group type = No. 227
spin magnetization = 0.02 Bohr magnetons per cell

a b c (Å): 9.8433 9.8433 9.8433
angles (deg): 60.00 60.00 60.00
Element x y z (fractional)
1 Zr 0.1250 0.1250 0.1250
2 Zr 0.8750 0.8750 0.8750
3 Zn 0.0000 0.0000 0.0000
4 Zn 0.0000 0.0000 0.5000
5 Zn 0.0000 0.5000 0.0000
6 Zn 0.0565 0.3241 0.3241
7 Zn 0.0565 0.3241 0.7952
8 Zn 0.0565 0.7952 0.3241
9 Zn 0.2048 0.6759 0.6759
10 Zn 0.2048 0.6759 0.9435
11 Zn 0.2048 0.9435 0.6759
12 Zn 0.2383 0.2383 0.5117
13 Zn 0.2383 0.5117 0.2383
14 Zn 0.2383 0.5117 0.5117
15 Zn 0.3241 0.0565 0.3241
16 Zn 0.3241 0.0565 0.7952
17 Zn 0.3241 0.3241 0.0565
18 Zn 0.3241 0.3241 0.7952
19 Zn 0.3241 0.7952 0.0565
20 Zn 0.3241 0.7952 0.3241
21 Zn 0.4883 0.4883 0.7617
22 Zn 0.4883 0.7617 0.4883
23 Zn 0.4883 0.7617 0.7617
24 Zn 0.5000 0.0000 0.0000
25 Zn 0.5117 0.2383 0.2383
26 Zn 0.5117 0.2383 0.5117
27 Zn 0.5117 0.5117 0.2383
28 Zn 0.6759 0.2048 0.6759
29 Zn 0.6759 0.2048 0.9435
30 Zn 0.6759 0.6759 0.2048
31 Zn 0.6759 0.6759 0.9435
32 Zn 0.6759 0.9435 0.2048
33 Zn 0.6759 0.9435 0.6759
34 Zn 0.7617 0.4883 0.4883
35 Zn 0.7617 0.4883 0.7617
36 Zn 0.7617 0.7617 0.4883
37 Zn 0.7952 0.0565 0.3241
38 Zn 0.7952 0.3241 0.0565
39 Zn 0.7952 0.3241 0.3241
40 Zn 0.9435 0.2048 0.6759
41 Zn 0.9435 0.6759 0.2048
42 Zn 0.9435 0.6759 0.6759
43 Co 0.0000 0.5000 0.5000
44 Co 0.5000 0.0000 0.5000
45 Co 0.5000 0.5000 0.0000
46 Co 0.5000 0.5000 0.5000

=====

Entry from the Materials Project: Zr6Co23 after structural relaxation (PBE).

Output
DFT total energy = -221.3 eV/cell
space-group type = No. 225

a b c (Å): 8.1352 8.1352 8.1352
angles (deg): 60.00 60.00 60.00
Element x y z (fractional)
1 Zr 0.2112 0.2112 0.7888
2 Zr 0.2112 0.7888 0.2112
3 Zr 0.2112 0.7888 0.7888
4 Zr 0.7888 0.2112 0.2112
5 Zr 0.7888 0.2112 0.7888
6 Zr 0.7888 0.7888 0.2112
7 Co 0.0000 0.0000 0.5000
8 Co 0.0000 0.5000 0.0000
9 Co 0.0000 0.5000 0.5000
10 Co 0.1369 0.6210 0.6210
11 Co 0.1749 0.1749 0.1749
12 Co 0.1749 0.1749 0.4752
13 Co 0.1749 0.4752 0.1749
14 Co 0.3790 0.3790 0.3790
15 Co 0.3790 0.3790 0.8631
16 Co 0.3790 0.8631 0.3790
17 Co 0.4752 0.1749 0.1749
18 Co 0.5000 0.0000 0.0000
19 Co 0.5000 0.0000 0.5000
20 Co 0.5000 0.5000 0.0000
21 Co 0.5000 0.5000 0.5000
22 Co 0.5248 0.8251 0.8251
23 Co 0.6210 0.1369 0.6210
24 Co 0.6210 0.6210 0.1369
25 Co 0.6210 0.6210 0.6210
26 Co 0.8251 0.5248 0.8251
27 Co 0.8251 0.8251 0.5248
28 Co 0.8251 0.8251 0.8251
29 Co 0.8631 0.3790 0.3790

=====

Entry from the Materials Project: Zr4Co after structural relaxation (PBE).

Output
DFT total energy = -77.9 eV/cell
space-group type = No. 227
spin magnetization = 0.00 Bohr magnetons per cell

a b c (Å): 6.8778 6.8778 6.8778
angles (deg): 60.00 60.00 60.00
Element x y z (fractional)
1 Zr 0.2083 0.7639 0.7639
2 Zr 0.2361 0.2361 0.2361
3 Zr 0.2361 0.2361 0.7917
4 Zr 0.2361 0.7917 0.2361
5 Zr 0.7639 0.2083 0.7639
6 Zr 0.7639 0.7639 0.2083
7 Zr 0.7639 0.7639 0.7639
8 Zr 0.7917 0.2361 0.2361
9 Co 0.3750 0.3750 0.3750
10 Co 0.6250 0.6250 0.6250

=====

Entry from the Materials Project: ZrCo2 after structural relaxation (PBE).

Output
DFT total energy = -47.4 eV/cell
space-group type = No. 227

a b c (Å): 4.8854 4.8854 4.8854
angles (deg): 60.00 60.00 60.00
Element x y z (fractional)
1 Zr 0.1250 0.1250 0.1250
2 Zr 0.8750 0.8750 0.8750
3 Co 0.0000 0.5000 0.5000
4 Co 0.5000 0.0000 0.5000
5 Co 0.5000 0.5000 0.0000
6 Co 0.5000 0.5000 0.5000

=====

Entry from the Materials Project: Cr after structural relaxation (PBE).

Output
DFT total energy = -9.3 eV/cell
energy above the lowest structure with this stoichiometry = 402.5 meV per atom
space-group type = No. 225
spin magnetization = 0.00 Bohr magnetons per cell

a b c (Å): 2.5628 2.5628 2.5628
angles (deg): 60.00 60.00 60.00
Element x y z (fractional)
1 Cr 0.0000 0.0000 0.0000

=====

Entry from the Materials Project: Cr after structural relaxation (PBE).

Output
DFT total energy = -76.6 eV/cell
energy above the lowest structure with this stoichiometry = 81.1 meV per atom
space-group type = No. 223

a b c (Å): 4.5465 4.5465 4.5465
angles (deg): 90.00 90.00 90.00
Element x y z (fractional)
1 Cr 0.0000 0.0000 0.0000
2 Cr 0.0000 0.2500 0.5000
3 Cr 0.0000 0.7500 0.5000
4 Cr 0.2500 0.5000 0.0000
5 Cr 0.5000 0.0000 0.2500
6 Cr 0.5000 0.0000 0.7500
7 Cr 0.5000 0.5000 0.5000
8 Cr 0.7500 0.5000 0.0000

=====

Look up the DFT total energy of the first one. -103.8 eV/cell

=====

Which value of DFT total energy does entry 3 give? -77.9 eV/cell